Record 1
This record from the Materials Project describes a relaxed structure of Sr6Li23. The functional is PBE.

Lattice parameters (Å, degrees): 14.7716 14.7716 14.7716 90.00 90.00 90.00
Closest atoms and distances in Å follow each position.
Space group Fm-3m (No. 225)
One atom of each set of equivalent atoms:
Sr 0.0000 0.0000 0.2061 x24  12 Li 3.60-3.75
Li 0.0000 0.0000 0.5000 x4  8 Li 3.11
Li 0.0000 0.2500 0.2500 x24  8 Li 3.03-3.23
Li 0.1217 0.1217 0.3783 x32  7 Li 3.11-3.23
Li 0.1776 0.1776 0.1776 x32  9 Li 3.02-3.19

final energy	-1.859	eV/atom
E_form	4.4	meV per atom

---

Record 2
This record from the Materials Project describes a relaxed structure of KC2S2NO4F6. The functional is PBE.

Lattice parameters (Å, degrees): 22.7261 13.7333 13.0170 90.00 90.00 90.00
Closest atoms and distances in Å follow each position.
Space group Pbcn (No. 60)
One atom of each set of equivalent atoms:
K 0.2438 0.0637 0.1301 x8  8 O 2.76-3.06
K 0.2479 0.3213 0.3263 x8  6 O 2.83-3.13
C 0.0775 0.2146 0.6447 x8  3 F 1.35
C 0.0825 0.0679 0.3776 x8  3 F 1.35
C 0.0818 0.4997 0.3563 x8  3 F 1.34-1.35
C 0.0892 0.2807 0.0727 x8  3 F 1.35
S 0.1561 0.1860 0.6106 x8  2 O 1.45, 1 N 1.59
S 0.1599 0.4747 0.8957 x8  2 O 1.45, 1 N 1.59
S 0.1611 0.1013 0.4098 x8  2 O 1.45, 1 N 1.59
S 0.1664 0.3109 0.0309 x8  2 O 1.45, 1 N 1.59
N 0.1573 0.1894 0.4887 x8  2 S 1.59
N 0.1604 0.3618 0.9219 x8  2 S 1.59
O 0.1682 0.0927 0.6589 x8  1 S 1.45
O 0.1716 0.4583 0.4794 x8  1 S 1.45
O 0.1842 0.1415 0.3146 x8  1 S 1.45
O 0.1869 0.0118 0.4478 x8  1 S 1.45
O 0.1883 0.2690 0.6507 x8  1 S 1.45
O 0.1906 0.3694 0.1133 x8  1 S 1.45
O 0.1922 0.2155 0.0126 x8  1 S 1.45
O 0.1926 0.4904 0.8014 x8  1 S 1.45
F 0.0415 0.1416 0.6154 x8  1 C 1.35
F 0.0444 0.4820 0.9340 x8  1 C 1.34
F 0.0497 0.1488 0.3638 x8  1 C 1.35
F 0.0592 0.0142 0.4541 x8  1 C 1.35
F 0.0593 0.3620 0.0976 x8  1 C 1.35
F 0.0602 0.2980 0.5994 x8  1 C 1.35
F 0.0605 0.2330 0.9973 x8  1 C 1.35
F 0.0666 0.4460 0.7743 x8  1 C 1.35
F 0.0741 0.2247 0.7478 x8  1 C 1.35
F 0.0783 0.4042 0.3311 x8  1 C 1.35
F 0.0820 0.0150 0.2903 x8  1 C 1.35
F 0.0923 0.2226 0.1565 x8  1 C 1.35

final energy	-5.521	eV/atom
E_form	-1649.8	meV per atom

---

Record 3
This record from the Materials Project describes a relaxed structure of ZrVCuS4. The functional is PBE.

Lattice parameters (Å, degrees): 7.2241 7.2494 10.1157 90.00 90.00 90.00
Closest atoms and distances in Å follow each position.
Space group Imma (No. 74)
One atom of each set of equivalent atoms:
Zr 0.0000 0.0000 0.0000 x4  6 S 2.57
V 0.2500 0.2500 0.2500 x4  6 S 2.44-2.46
Cu 0.0000 0.2500 0.6299 x4  4 S 2.28-2.29
S 0.0000 0.0200 0.2533 x8  1 Cu 2.29, 2 V 2.46
S 0.2488 0.2500 0.4917 x8  1 Cu 2.28, 1 V 2.44

final energy	-6.460	eV/atom
E_form	-1279.2	meV per atom

---

Record 4
This record from the Materials Project describes a relaxed structure of TmCo12B6. The functional is PBE.

Lattice parameters (Å, degrees): 9.3850 9.3850 7.3770 90.00 90.00 120.00
Closest atoms and distances in Å follow each position.
Space group R-3m (No. 166, hexagonal axes)
One atom of each set of equivalent atoms:
Tm 0.0000 0.0000 0.0000 x3  6 B 3.03, 18 Co 3.05-3.22
Co 0.0000 0.3677 0.5000 x18  4 B 2.02-2.04
Co 0.0893 0.1786 0.3641 x18  3 B 2.10
B 0.0372 0.5186 0.2840 x18  7 Co 2.02-2.10

final energy	-7.179	eV/atom
E_form	-344.5	meV per atom

---

Record 5
This record from the Materials Project describes a relaxed structure of Ba4PrYCu6O14. The functional is PBE.

Lattice parameters (Å, degrees): 3.8854 7.8827 11.8753 90.00 90.00 90.00
Closest atoms and distances in Å follow each position.
Space group Pmmm (No. 47)
One atom of each set of equivalent atoms:
Ba 0.0000 0.0000 0.1797 x2  10 O 2.78-3.08
Ba 0.0000 0.5000 0.1809 x2  10 O 2.78-3.06
Pr 0.0000 0.0000 0.5000 x1  8 O 2.49-2.52
Y 0.0000 0.5000 0.5000 x1  8 O 2.41-2.42
Cu 0.5000 0.2503 0.0000 x2  4 O 1.87-1.97
Cu 0.5000 0.2533 0.3485 x4  4 O 1.97-2.01
O 0.0000 0.2582 0.3747 x4  2 Cu 1.97
O 0.5000 0.0000 0.0000 x1  2 Cu 1.97
O 0.5000 0.0000 0.3694 x2  2 Cu 2.01
O 0.5000 0.2506 0.1578 x4  1 Cu 1.87
O 0.5000 0.5000 0.0000 x1  2 Cu 1.97
O 0.5000 0.5000 0.3797 x2  2 Cu 1.98

final energy	-6.130	eV/atom
E_form	-2162.3	meV per atom

---

Record 6
This record from the Materials Project describes a relaxed structure of La5AgPb3. The functional is PBE.

Lattice parameters (Å, degrees): 9.8863 9.8863 6.9708 90.00 90.00 120.00
Closest atoms and distances in Å follow each position.
Space group P6_3/mcm (No. 193)
One atom of each set of equivalent atoms:
La 0.0000 0.2726 0.2500 x6  2 Ag 3.21, 3 Pb 3.34-3.46
La 0.3333 0.6667 0.0000 x4  2 La 3.49, 6 Pb 3.56
Ag 0.0000 0.0000 0.0000 x2  6 La 3.21, 2 Ag 3.49
Pb 0.0000 0.3778 0.7500 x6  9 La 3.34-3.64

final energy	-4.837	eV/atom
E_form	-542.9	meV per atom

---

Record 7
This record from the Materials Project describes a relaxed structure of Ho4InNi2Ge4. The functional is PBE.

Lattice parameters (Å, degrees): 15.4691 4.2251 7.0345 90.00 108.69 90.00
Closest atoms and distances in Å follow each position.
Space group C2/m (No. 12)
One atom of each set of equivalent atoms:
Ho 0.0918 0.0000 0.3914 x4  7 Ge 2.96-3.29, 3 Ni 3.03-3.05
Ho 0.1558 0.0000 0.9379 x4  5 Ge 2.90-3.06, 1 Ni 2.97
In 0.0000 0.5000 0.0000 x2  4 Ge 2.86-3.11
Ni 0.2169 0.5000 0.6432 x4  4 Ge 2.39-2.56
Ge 0.0655 0.5000 0.6627 x4  1 Ni 2.39, 1 Ge 2.52
Ge 0.2035 0.5000 0.2710 x4  3 Ni 2.42-2.56

final energy	-5.422	eV/atom
E_form	-773.9	meV per atom